Ho4CdPt (PBE-GGA, optimized geometry); energy = -4.83 eV per atom; formation energy from the elements = -612 meV/atom; calculated density = 10.082 g/cm3
1.0
0.000 6.830 6.830
6.830 0.000 6.830
6.830 6.830 0.000
Ho Cd Pt
16 4 4
direct
0.185 0.185 0.815
0.185 0.815 0.185
0.185 0.815 0.815
0.399 0.399 0.399
0.399 0.399 0.804
0.399 0.804 0.399
0.560 0.560 0.940
0.560 0.940 0.560
0.560 0.940 0.940
0.804 0.399 0.399
0.815 0.185 0.185
0.815 0.185 0.815
0.815 0.815 0.185
0.940 0.560 0.560
0.940 0.560 0.940
0.940 0.940 0.560
0.168 0.168 0.168
0.168 0.168 0.496
0.168 0.496 0.168
0.496 0.168 0.168
0.179 0.607 0.607
0.607 0.179 0.607
0.607 0.607 0.179
0.607 0.607 0.607

---

TeMoWSeS2 (PBE-GGA, optimized geometry); corrected total energy (MP2020 scheme) = -7.21 eV per atom; ΔE to the lowest computed polymorph = 0 meV/atom; energy = -7.04 eV per atom; formation energy from the elements = -760 meV/atom; calculated density = 5.143 g/cm3
1.0
3.304 0.000 0.000
-1.652 2.861 0.000
0.000 0.000 37.595
Te Mo W Se S
2 2 2 2 4
direct
0.000 0.000 0.000
0.000 0.000 0.102
0.000 0.000 0.487
0.333 0.667 0.051
0.000 0.000 0.863
0.333 0.667 0.675
0.333 0.667 0.443
0.333 0.667 0.532
0.000 0.000 0.634
0.000 0.000 0.716
0.333 0.667 0.822
0.333 0.667 0.904

---

MgCu2SnHgS4 (PBE-GGA, optimized geometry); corrected total energy (MP2020 scheme) = -3.89 eV per atom; ΔE to the lowest computed polymorph = 63 meV/atom; energy = -3.67 eV per atom; formation energy from the elements = -487 meV/atom; calculated density = 4.881 g/cm3
1.0
-3.007 3.230 5.247
3.007 -3.230 5.247
3.007 3.230 -5.247
Mg Cu Sn Hg S
1 2 1 1 4
direct
0.000 0.000 0.000
0.257 0.257 0.000
0.743 0.743 0.000
0.500 0.000 0.500
0.000 0.500 0.500
0.069 0.093 0.459
0.366 0.907 0.976
0.634 0.610 0.541
0.931 0.390 0.024

---

BaZnSnF7 (PBE-GGA, optimized geometry); corrected total energy (MP2020 scheme) = -5.11 eV per atom; energy = -4.79 eV per atom; formation energy from the elements = -3050 meV/atom; calculated density = 4.980 g/cm3
1.0
5.832 0.000 0.000
0.000 10.436 0.000
-0.476 0.000 9.958
Ba Zn Sn F
4 4 4 28
direct
0.232 0.176 0.005
0.232 0.324 0.505
0.768 0.676 0.495
0.768 0.824 0.995
0.197 0.608 0.807
0.197 0.892 0.307
0.803 0.108 0.693
0.803 0.392 0.193
0.299 0.601 0.182
0.299 0.899 0.682
0.701 0.101 0.318
0.701 0.399 0.818
0.010 0.717 0.244
0.010 0.783 0.744
0.091 0.536 0.631
0.091 0.964 0.131
0.124 0.074 0.617
0.124 0.426 0.117
0.255 0.703 0.990
0.255 0.797 0.490
0.361 0.054 0.379
0.361 0.446 0.879
0.406 0.539 0.377
0.406 0.961 0.877
0.477 0.718 0.745
0.477 0.782 0.245
0.523 0.218 0.755
0.523 0.282 0.255
0.594 0.039 0.123
0.594 0.461 0.623
0.639 0.554 0.121
0.639 0.946 0.621
0.745 0.203 0.510
0.745 0.297 0.010
0.876 0.574 0.883
0.876 0.926 0.383
0.909 0.036 0.869
0.909 0.464 0.369
0.990 0.217 0.256
0.990 0.283 0.756